*A*
Tb5Bi3 after structural relaxation, computed with r²SCAN.

Cell and atoms, written as CIF:
```
data_Tb5Bi3
_chemical_formula_sum 'Tb20 Bi12'
_symmetry_space_group_name_H-M 'P n m a'
_symmetry_Int_Tables_number 62
_symmetry_space_group_name_Hall '-P 2ac 2n'
_cell_length_a 12.120
_cell_length_b 9.492
_cell_length_c 8.303
_cell_angle_alpha 90.00
_cell_angle_beta 90.00
_cell_angle_gamma 90.00
loop_
_atom_site_label
_atom_site_fract_x
_atom_site_fract_y
_atom_site_fract_z
Tb1 0.005 0.250 0.022
Tb2 0.065 0.062 0.690
Tb3 0.209 0.750 0.341
Tb4 0.226 0.250 0.330
Bi1 0.027 0.750 0.599
Bi2 0.175 0.508 0.063
```

## Properties
Magnetic moment ... 0.063 μB/atom

---

*B*
Tb5Bi3 after structural relaxation, computed with r²SCAN.

Cell and atoms, written as CIF:
```
data_Tb5Bi3
_chemical_formula_sum 'Tb10 Bi6'
_symmetry_space_group_name_H-M 'P 63/m c m'
_symmetry_Int_Tables_number 193
_symmetry_space_group_name_Hall '-P 6c 2'
_cell_length_a 9.1827
_cell_length_b 9.1827
_cell_length_c 6.4002
_cell_angle_alpha 90.00
_cell_angle_beta 90.00
_cell_angle_gamma 120.00
loop_
_atom_site_label
_atom_site_fract_x
_atom_site_fract_y
_atom_site_fract_z
Tb1 0.0000 0.2456 0.2500
Tb2 0.3333 0.6667 0.0000
Bi1 0.0000 0.3879 0.7500
```

## Properties
Magnetic moment ... 0.161 μB/atom

---

Winner for stability: *B*